(1)
A relaxed structure of Sr2AlGaNi2O7. Source: the Materials Project database, functional PBE with a Hubbard U.

The total energy comes out at -153.96 eV/cell. The calculated density is 5.03 Mg/m³. For the energy with MP2020 corrections, the calculation gives -6.68 eV per atom. For the formation energy, the calculation gives -2.348 eV per atom.

Lattice parameters (Å, degrees): 11.7044 11.7044 5.6454 83.54 83.54 25.55
With the nearest neighbours (Å) after each atom.
Fractional coordinates of all 26 atoms:
Sr 0.8447 0.3499 0.2526  4 O 2.39-2.59
Sr 0.1553 0.6397 0.7464  4 O 2.39-2.48
Sr 0.3499 0.8447 0.7526  4 O 2.39-2.59
Sr 0.6397 0.1553 0.2464  4 O 2.39-2.48
Al 0.4990 0.9958 0.4997  3 O 1.84-2.05
Al 0.9958 0.4990 0.9997  3 O 1.84-2.05
Ga 0.3011 0.6898 0.2066  4 O 1.86-1.92
Ga 0.6898 0.3011 0.7066  4 O 1.86-1.92
Ni 0.0721 0.5364 0.3648  5 O 1.98-2.19
Ni 0.4582 0.9222 0.1375  5 O 1.98-2.18
Ni 0.5364 0.0721 0.8648  5 O 1.98-2.19
Ni 0.9222 0.4582 0.6375  5 O 1.98-2.18
O 0.2817 0.1540 0.8259  2 Al 2.06-2.12, 3 Ni 2.09-2.19
O 0.3653 0.6220 0.8749  2 Ga 1.91-1.92
O 0.1540 0.2817 0.3259  2 Al 2.06-2.12, 3 Ni 2.09-2.19
O 0.7243 0.1142 0.8093  1 Ga 1.86
O 0.4150 0.2220 0.5294  1 Al 1.84, 2 Ni 1.98-2.01
O 0.2220 0.4150 0.0294  1 Al 1.84, 2 Ni 1.98-2.01
O 0.6220 0.3653 0.3749  2 Ga 1.91-1.92
O 0.7116 0.8409 0.1768  2 Al 2.05-2.09, 3 Ni 2.09-2.18
O 0.8409 0.7116 0.6768  2 Al 2.05-2.09, 3 Ni 2.09-2.18
O 0.1142 0.7243 0.3093  1 Ga 1.86
O 0.2836 0.8649 0.2115  1 Ga 1.87
O 0.8649 0.2836 0.7115  1 Ga 1.87
O 0.7712 0.5807 0.9717  1 Al 1.84, 2 Ni 1.98-2.01
O 0.5807 0.7712 0.4717  1 Al 1.84, 2 Ni 1.98-2.01

(2)
A relaxed structure of Sr2AlV2GaO7. Source: the Materials Project database, functional PBE with a Hubbard U.

The total energy comes out at -176.61 eV/cell. The calculated density is 4.46 Mg/m³. For the energy with MP2020 corrections, the calculation gives -7.42 eV per atom. For the formation energy, the calculation gives -2.581 eV per atom.

Lattice parameters (Å, degrees): 11.7348 11.7348 5.5824 76.53 76.53 140.01
With the nearest neighbours (Å) after each atom.
Fractional coordinates of all 26 atoms:
Sr 0.8942 0.6912 0.9653  5 O 2.47-2.68
Sr 0.1215 0.3120 0.0350  5 O 2.46-2.63
Sr 0.3120 0.1215 0.0350  5 O 2.46-2.63
Sr 0.6912 0.8942 0.9653  5 O 2.47-2.68
Al 0.3984 0.9354 0.0122  4 O 1.80-1.87
Al 0.9354 0.3984 0.0122  4 O 1.80-1.87
V 0.0778 0.4469 0.4830  4 O 2.02-2.09
V 0.4469 0.0778 0.4830  4 O 2.02-2.09
V 0.5570 0.9165 0.5218  5 O 2.13-2.30
V 0.9165 0.5570 0.5218  5 O 2.13-2.30
Ga 0.3374 0.3374 0.4408  4 O 1.86-1.93
Ga 0.6777 0.6777 0.6114  4 O 1.87-1.92
O 0.1691 0.7948 0.9858  1 Al 1.87, 1 V 2.08
O 0.3935 0.3935 0.7266  2 Ga 1.90-1.93
O 0.2654 0.8839 0.3652  1 Al 1.80, 1 V 2.02
O 0.7200 0.8739 0.4310  1 Ga 1.87
O 0.3876 0.7716 0.0281  1 Al 1.81
O 0.2221 0.5980 0.6786  1 Al 1.80
O 0.6263 0.6263 0.0013  2 Ga 1.91-1.92
O 0.7948 0.1691 0.9858  1 Al 1.87, 1 V 2.08
O 0.8839 0.2654 0.3652  1 Al 1.80, 1 V 2.02
O 0.1338 0.2855 0.5071  1 Ga 1.86
O 0.2855 0.1338 0.5071  1 Ga 1.86
O 0.8739 0.7200 0.4310  1 Ga 1.87
O 0.5980 0.2221 0.6786  1 Al 1.80
O 0.7716 0.3876 0.0281  1 Al 1.81

(3)
A relaxed structure of NaMn6Al3H42S2O38. Source: the Materials Project database, functional PBE with a Hubbard U.

The total energy comes out at -521.75 eV/cell. The calculated density is 2.16 Mg/m³. For the energy with MP2020 corrections, the calculation gives -6.06 eV per atom. For the formation energy, the calculation gives -1.647 eV per atom.

Lattice parameters (Å, degrees): 12.3577 12.3577 12.3577 45.72 45.72 45.72
With the nearest neighbours (Å) after each atom.
Fractional coordinates of all 92 atoms:
Na 0.0000 0.0000 0.0000  6 O 2.51
Mn 0.1661 0.4963 0.8338  6 O 2.19-2.26
Mn 0.8338 0.1661 0.4963  6 O 2.19-2.26
Mn 0.4963 0.8338 0.1661  6 O 2.19-2.26
Mn 0.8339 0.5037 0.1662  6 O 2.19-2.26
Mn 0.1662 0.8339 0.5037  6 O 2.19-2.26
Mn 0.5037 0.1662 0.8339  6 O 2.19-2.26
Al 0.8360 0.8360 0.8360  6 O 1.92-1.94
Al 0.1640 0.1640 0.1640  6 O 1.92-1.94
Al 0.5000 0.5000 0.5000  6 O 1.93
H 0.0400 0.3263 0.3101  1 O 0.98
H 0.3101 0.0400 0.3263  1 O 0.98
H 0.3263 0.3101 0.0400  1 O 0.98
H 0.9600 0.6737 0.6899  1 O 0.98
H 0.6899 0.9600 0.6737  1 O 0.98
H 0.6737 0.6899 0.9600  1 O 0.98
H 0.0078 0.9791 0.6994  1 O 0.99
H 0.6994 0.0078 0.9791  1 O 0.99
H 0.9791 0.6994 0.0078  1 O 0.99
H 0.9922 0.0209 0.3006  1 O 0.99
H 0.3006 0.9922 0.0209  1 O 0.99
H 0.0209 0.3006 0.9922  1 O 0.99
H 0.3627 0.6266 0.6898  1 O 0.99
H 0.6898 0.3627 0.6266  1 O 0.99
H 0.6266 0.6898 0.3627  1 O 0.99
H 0.6373 0.3734 0.3102  1 O 0.99
H 0.3102 0.6373 0.3734  1 O 0.99
H 0.3734 0.3102 0.6373  1 O 0.99
H 0.4701 0.6380 0.7843  1 O 0.99
H 0.7843 0.4701 0.6380  1 O 0.99
H 0.6380 0.7843 0.4701  1 O 0.99
H 0.5299 0.3620 0.2157  1 O 0.99
H 0.2157 0.5299 0.3620  1 O 0.99
H 0.3620 0.2157 0.5299  1 O 0.99
H 0.3487 0.5497 0.9396  1 O 0.98
H 0.9396 0.3487 0.5497  1 O 0.98
H 0.5497 0.9396 0.3487  1 O 0.98
H 0.6513 0.4503 0.0604  1 O 0.98
H 0.0604 0.6513 0.4503  1 O 0.98
H 0.4503 0.0604 0.6513  1 O 0.98
H 0.2093 0.8540 0.7773  1 O 0.99
H 0.7773 0.2093 0.8540  1 O 0.99
H 0.8540 0.7773 0.2093  1 O 0.99
H 0.7907 0.1460 0.2227  1 O 0.99
H 0.2227 0.7907 0.1460  1 O 0.99
H 0.1460 0.2227 0.7907  1 O 0.99
H 0.1993 0.0299 0.6317  1 O 0.98
H 0.6317 0.1993 0.0299  1 O 0.98
H 0.0299 0.6317 0.1993  1 O 0.98
H 0.8007 0.9701 0.3683  1 O 0.98
H 0.3683 0.8007 0.9701  1 O 0.98
H 0.9701 0.3683 0.8007  1 O 0.98
S 0.2953 0.2953 0.2953  4 O 1.49-1.50
S 0.7047 0.7047 0.7047  4 O 1.49-1.50
O 0.6594 0.6594 0.6594  1 S 1.50
O 0.3406 0.3406 0.3406  1 S 1.50
O 0.1140 0.3923 0.3352  1 S 1.49
O 0.3352 0.1140 0.3923  1 S 1.49
O 0.3923 0.3352 0.1140  1 S 1.49
O 0.8860 0.6077 0.6648  1 S 1.49
O 0.6648 0.8860 0.6077  1 S 1.49
O 0.6077 0.6648 0.8860  1 S 1.49
O 0.0007 0.2950 0.2921  1 H 0.98
O 0.2921 0.0007 0.2950  1 H 0.98
O 0.2950 0.2921 0.0007  1 H 0.98
O 0.9993 0.7050 0.7079  1 H 0.98
O 0.7079 0.9993 0.7050  1 H 0.98
O 0.7050 0.7079 0.9993  1 H 0.98
O 0.9652 0.9647 0.6678  1 H 0.99
O 0.6678 0.9652 0.9647  1 H 0.99
O 0.9647 0.6678 0.9652  1 H 0.99
O 0.0348 0.0353 0.3322  1 H 0.99
O 0.3322 0.0348 0.0353  1 H 0.99
O 0.0353 0.3322 0.0348  1 H 0.99
O 0.3341 0.6214 0.6367  1 H 0.99
O 0.6367 0.3341 0.6214  1 H 0.99
O 0.6214 0.6367 0.3341  1 H 0.99
O 0.6659 0.3786 0.3633  1 H 0.99
O 0.3633 0.6659 0.3786  1 H 0.99
O 0.3786 0.3633 0.6659  1 H 0.99
O 0.3640 0.6409 0.8283  2 H 0.98-0.99
O 0.8283 0.3640 0.6409  2 H 0.98-0.99
O 0.6409 0.8283 0.3640  2 H 0.98-0.99
O 0.6360 0.3591 0.1717  2 H 0.98-0.99
O 0.1717 0.6360 0.3591  2 H 0.98-0.99
O 0.3591 0.1717 0.6360  2 H 0.98-0.99
O 0.1311 0.9725 0.7441  2 H 0.98-0.99
O 0.7441 0.1311 0.9725  2 H 0.98-0.99
O 0.9725 0.7441 0.1311  2 H 0.98-0.99
O 0.8689 0.0275 0.2559  2 H 0.98-0.99
O 0.2559 0.8689 0.0275  2 H 0.98-0.99
O 0.0275 0.2559 0.8689  2 H 0.98-0.99

(4)
A relaxed structure of MnAl2P2H18O18. Source: the Materials Project database, functional PBE with a Hubbard U.

The total energy comes out at -239.04 eV/cell. The calculated density is 2.27 Mg/m³. For the energy with MP2020 corrections, the calculation gives -6.17 eV per atom. For the formation energy, the calculation gives -1.840 eV per atom.

Lattice parameters (Å, degrees): 5.2540 7.0090 10.4658 95.38 101.49 110.01
With the nearest neighbours (Å) after each atom.
Fractional coordinates of all 41 atoms:
Mn 0.0000 0.0000 0.0000  6 O 2.16-2.25
Al 0.5000 0.0000 0.5000  6 O 1.90-1.94
Al 0.5000 0.5000 0.5000  6 O 1.87-2.01
P 0.9909 0.0868 0.3364  4 O 1.55-1.56
P 0.0091 0.9132 0.6636  4 O 1.55-1.56
H 0.1679 0.6735 0.5118  1 O 0.99
H 0.8321 0.3265 0.4882  1 O 0.99
H 0.3778 0.2889 0.6675  1 O 1.01
H 0.6222 0.7111 0.3325  1 O 1.01
H 0.2997 0.4794 0.7182  1 O 1.01
H 0.7003 0.5206 0.2818  1 O 1.01
H 0.6634 0.5881 0.9022  1 O 0.98
H 0.3366 0.4119 0.0978  1 O 0.98
H 0.8062 0.5965 0.0518  1 O 1.00
H 0.1938 0.4035 0.9482  1 O 1.00
H 0.6957 0.0550 0.7884  1 O 1.00
H 0.3043 0.9450 0.2116  1 O 1.00
H 0.4622 0.0060 0.8678  1 O 0.99
H 0.5378 0.9940 0.1322  1 O 0.99
H 0.9105 0.3479 0.1816  1 O 1.01
H 0.0895 0.6521 0.8184  1 O 1.01
H 0.1020 0.5792 0.2422  1 O 0.98
H 0.8980 0.4208 0.7578  1 O 0.98
O 0.1941 0.9683 0.3509  1 P 1.56, 1 H 1.69
O 0.8059 0.0317 0.6491  1 P 1.56, 1 H 1.69
O 0.1281 0.3041 0.4243  1 P 1.55
O 0.8719 0.6959 0.5757  1 P 1.55
O 0.9047 0.1056 0.1884  1 P 1.56, 1 H 1.70
O 0.0953 0.8944 0.8116  1 P 1.56, 1 H 1.70
O 0.2789 0.0379 0.6217  1 P 1.56, 1 H 1.65
O 0.7211 0.9621 0.3783  1 P 1.56, 1 H 1.65
O 0.3572 0.7106 0.4972  1 H 0.99
O 0.6428 0.2894 0.5028  1 H 0.99
O 0.4426 0.4447 0.6793  2 H 1.01
O 0.5574 0.5553 0.3207  2 H 1.01
O 0.7366 0.6765 0.9891  2 H 0.98-1.00
O 0.2634 0.3235 0.0109  2 H 0.98-1.00
O 0.6678 0.0691 0.8800  2 H 0.99-1.00
O 0.3322 0.9309 0.1200  2 H 0.99-1.00
O 0.9147 0.4932 0.1887  2 H 0.98-1.01
O 0.0853 0.5068 0.8113  2 H 0.98-1.01

(5)
A relaxed structure of MnAlP2H15O15. Source: the Materials Project database, functional PBE with a Hubbard U.

The total energy comes out at -394.65 eV/cell. The calculated density is 2.13 Mg/m³. For the energy with MP2020 corrections, the calculation gives -6.16 eV per atom. For the formation energy, the calculation gives -1.778 eV per atom.

Lattice parameters (Å, degrees): 7.0048 9.5828 10.1464 99.29 109.02 98.32
With the nearest neighbours (Å) after each atom.
Fractional coordinates of all 68 atoms:
Mn 0.3225 0.7010 0.0491  6 O 2.17-2.25
Mn 0.6775 0.2990 0.9509  6 O 2.17-2.25
Al 0.5000 0.5000 0.5000  6 O 1.88-1.96
Al 0.0000 0.5000 0.5000  6 O 1.88-1.95
P 0.7378 0.7086 0.3544  4 O 1.52-1.62
P 0.2622 0.2914 0.6456  4 O 1.52-1.62
P 0.9005 0.7036 0.7487  4 O 1.54-1.61
P 0.0995 0.2964 0.2513  4 O 1.54-1.61
H 0.9032 0.8805 0.5427  1 O 0.99
H 0.0968 0.1195 0.4573  1 O 0.99
H 0.6866 0.3162 0.4437  1 O 0.98
H 0.3134 0.6838 0.5563  1 O 0.98
H 0.9871 0.9447 0.8010  1 O 1.02
H 0.0129 0.0553 0.1990  1 O 1.02
H 0.2115 0.5782 0.2453  1 O 0.99
H 0.7885 0.4218 0.7547  1 O 0.99
H 0.2682 0.7395 0.3061  1 O 0.97
H 0.7318 0.2605 0.6939  1 O 0.97
H 0.2690 0.4047 0.9167  1 O 0.99
H 0.7310 0.5953 0.0833  1 O 0.99
H 0.1512 0.4013 0.0272  1 O 1.00
H 0.8488 0.5987 0.9728  1 O 1.00
H 0.5060 0.6375 0.8441  1 O 0.98
H 0.4940 0.3625 0.1559  1 O 0.98
H 0.2875 0.6783 0.7772  1 O 1.00
H 0.7125 0.3217 0.2228  1 O 1.00
H 0.4572 0.0003 0.2151  1 O 0.99
H 0.5428 0.9997 0.7849  1 O 0.99
H 0.3314 0.9978 0.0515  1 O 0.99
H 0.6686 0.0022 0.9485  1 O 0.99
H 0.7623 0.8593 0.1305  1 O 1.00
H 0.2377 0.1407 0.8695  1 O 1.00
H 0.8912 0.8556 0.0280  1 O 0.99
H 0.1088 0.1444 0.9720  1 O 0.99
H 0.4835 0.1319 0.4463  1 O 0.98
H 0.5165 0.8681 0.5537  1 O 0.98
H 0.6815 0.0623 0.4591  1 O 0.98
H 0.3185 0.9377 0.5409  1 O 0.98
O 0.6429 0.7191 0.1977  1 P 1.54
O 0.3571 0.2809 0.8023  1 P 1.54
O 0.9009 0.6170 0.3716  1 P 1.52
O 0.0991 0.3830 0.6284  1 P 1.52
O 0.5779 0.6629 0.4222  1 P 1.54
O 0.4221 0.3371 0.5778  1 P 1.54
O 0.6831 0.6062 0.6918  1 P 1.54
O 0.3169 0.3938 0.3082  1 P 1.54
O 0.0339 0.6528 0.6630  1 P 1.55
O 0.9661 0.3472 0.3370  1 P 1.55
O 0.0047 0.7151 0.9107  1 P 1.54
O 0.9953 0.2849 0.0893  1 P 1.54
O 0.8500 0.8743 0.4385  1 H 0.99
O 0.1500 0.1257 0.5615  1 H 0.99
O 0.7225 0.4214 0.4793  1 H 0.98
O 0.2775 0.5786 0.5207  1 H 0.98
O 0.8771 0.8634 0.7254  1 H 1.02
O 0.1229 0.1366 0.2746  1 H 1.02
O 0.1936 0.6700 0.2157  2 H 0.97-0.99
O 0.8064 0.3300 0.7843  2 H 0.97-0.99
O 0.2603 0.4609 0.0048  2 H 0.99-1.00
O 0.7397 0.5391 0.9952  2 H 0.99-1.00
O 0.4143 0.6994 0.8644  2 H 0.98-1.00
O 0.5857 0.3006 0.1356  2 H 0.98-1.00
O 0.3892 0.9372 0.1184  2 H 0.99
O 0.6108 0.0628 0.8816  2 H 0.99
O 0.8350 0.9218 0.0836  2 H 0.99-1.00
O 0.1650 0.0782 0.9164  2 H 0.99-1.00
O 0.5795 0.1072 0.3988  2 H 0.98
O 0.4205 0.8928 0.6012  2 H 0.98

(6)
A relaxed structure of MnAl2P2H20O16. Source: the Materials Project database, functional PBE with a Hubbard U.

The total energy comes out at -447.38 eV/cell. The calculated density is 2.13 Mg/m³. For the energy with MP2020 corrections, the calculation gives -5.76 eV per atom. For the formation energy, the calculation gives -1.509 eV per atom.

Lattice parameters (Å, degrees): 7.0170 10.3545 10.7354 107.80 89.48 109.66
With the nearest neighbours (Å) after each atom.
Fractional coordinates of all 82 atoms:
Mn 0.8550 0.2283 0.4906  6 O 2.10-2.32
Mn 0.1450 0.7717 0.5094  6 O 2.10-2.32
Al 0.9897 0.2481 0.9974  6 O 1.87-1.96
Al 0.0103 0.7519 0.0026  6 O 1.87-1.96
Al 0.5000 0.5000 0.0000  6 O 1.89-2.00
Al 0.5000 0.0000 0.0000  6 O 1.88-1.99
P 0.8477 0.4107 0.8242  4 O 1.55-1.56
P 0.1523 0.5893 0.1758  4 O 1.55-1.56
P 0.9042 0.0417 0.1708  4 O 1.54-1.56
P 0.0958 0.9583 0.8292  4 O 1.54-1.56
H 0.4578 0.1665 0.5269  1 O 0.98
H 0.5422 0.8335 0.4731  1 O 0.98
H 0.7295 0.9501 0.8311  1 O 1.01
H 0.2705 0.0499 0.1689  1 O 1.01
H 0.6914 0.6891 0.7438  1 H 0.77
H 0.3086 0.3109 0.2562  1 H 0.77
H 0.2800 0.3428 0.6051  1 O 0.98
H 0.7200 0.6572 0.3949  1 O 0.98
H 0.4571 0.5830 0.8084  1 O 0.98
H 0.5429 0.4170 0.1916  1 O 0.98
H 0.8267 0.4525 0.3900  1 O 0.99
H 0.1733 0.5475 0.6100  1 O 0.99
H 0.2285 0.0903 0.6258  1 H 1.26
H 0.7715 0.9097 0.3742  1 H 1.26
H 0.6405 0.2223 0.9514  1 O 0.98
H 0.3595 0.7777 0.0486  1 O 0.98
H 0.9438 0.0358 0.6199  1 O 0.99
H 0.0562 0.9642 0.3801  1 O 0.99
H 0.3221 0.2385 0.9681  1 O 0.98
H 0.6779 0.7615 0.0319  1 O 0.98
H 0.9074 0.3474 0.2805  1 O 0.99
H 0.0926 0.6526 0.7195  1 O 0.99
H 0.4964 0.1457 0.2479  1 O 0.98
H 0.5036 0.8543 0.7521  1 O 0.98
H 0.2380 0.5380 0.8603  1 O 1.01
H 0.7620 0.4620 0.1397  1 O 1.01
H 0.6649 0.4617 0.6012  1 H 1.57
H 0.3351 0.5383 0.3988  1 H 1.57
H 0.7229 0.6255 0.5302  1 O 0.98
H 0.2771 0.3745 0.4698  1 O 0.98
H 0.3529 0.2156 0.6851  1 H 0.81
H 0.6471 0.7844 0.3149  1 H 0.81
H 0.4419 0.2934 0.7148  1 H 0.81
H 0.5581 0.7066 0.2852  1 H 0.81
H 0.6687 0.6118 0.6954  1 H 0.77
H 0.3313 0.3882 0.3046  1 H 0.77
H 0.4088 0.0326 0.4038  1 O 0.99
H 0.5912 0.9674 0.5962  1 O 0.99
H 0.8942 0.1687 0.7152  1 O 1.02
H 0.1058 0.8313 0.2848  1 O 1.02
O 0.9071 0.0798 0.3230  1 P 1.56
O 0.0929 0.9202 0.6770  1 P 1.56
O 0.5136 0.1300 0.4452  2 H 0.98-0.99
O 0.4864 0.8700 0.5548  2 H 0.98-0.99
O 0.8329 0.3542 0.3592  2 H 0.99
O 0.1671 0.6458 0.6408  2 H 0.99
O 0.9704 0.0602 0.8730  1 P 1.56, 1 H 1.66
O 0.0296 0.9398 0.1270  1 P 1.56, 1 H 1.66
O 0.2822 0.3247 0.9942  1 H 0.98
O 0.7178 0.6753 0.0058  1 H 0.98
O 0.9432 0.3032 0.8477  1 P 1.56, 1 H 1.60
O 0.0568 0.6968 0.1523  1 P 1.56, 1 H 1.60
O 0.3632 0.5112 0.8428  2 H 0.98-1.01
O 0.6368 0.4888 0.1572  2 H 0.98-1.01
O 0.3145 0.0383 0.9005  1 P 1.55
O 0.6855 0.9617 0.0995  1 P 1.55
O 0.6986 0.1733 0.9965  1 H 0.98
O 0.3014 0.8267 0.0035  1 H 0.98
O 0.9924 0.8153 0.8586  1 P 1.54
O 0.0076 0.1847 0.1414  1 P 1.54
O 0.6519 0.3970 0.8948  1 P 1.55
O 0.3481 0.6030 0.1052  1 P 1.55
O 0.8573 0.0947 0.6229  2 H 0.99-1.02
O 0.1427 0.9053 0.3771  2 H 0.99-1.02
O 0.8004 0.3675 0.6732  1 P 1.55
O 0.1996 0.6325 0.3268  1 P 1.55
O 0.5848 0.8892 0.8367  2 H 0.98-1.01
O 0.4152 0.1108 0.1633  2 H 0.98-1.01
O 0.0080 0.5670 0.8792  1 P 1.56, 1 H 1.74
O 0.9920 0.4330 0.1208  1 P 1.56, 1 H 1.74
O 0.8009 0.6364 0.4555  2 H 0.98
O 0.1991 0.3636 0.5445  2 H 0.98